VASP calculation (PBE with a Hubbard U) on a relaxed V3Si3O10 crystal.

Cell and atoms, written as POSCAR:
```
V3Si3O10
1.0
4.8225 0.0000 0.0000
-2.3974 7.6145 0.0000
-0.0793 -0.1890 10.6488
V Si O
6 6 20
Direct
0.6002 0.6948 0.7252 V
0.9174 0.3074 0.7762 V
0.0000 0.5000 0.5000 V
0.0826 0.6926 0.2238 V
0.5000 0.5000 0.0000 V
0.3998 0.3052 0.2748 V
0.5351 0.6958 0.4086 Si
0.1528 0.6980 0.9117 Si
0.8085 0.0001 0.2520 Si
0.8472 0.3020 0.0883 Si
0.4649 0.3042 0.5914 Si
0.1915 0.9999 0.7480 Si
0.5086 0.8640 0.3224 O
0.3895 0.6788 0.5471 O
0.2750 0.5344 0.3339 O
0.0660 0.1300 0.8366 O
0.1928 0.3250 0.0959 O
0.1412 0.3253 0.6029 O
0.0449 0.1213 0.3443 O
0.2344 0.5285 0.8378 O
0.2904 0.6818 0.0507 O
0.3430 0.8721 0.8337 O
0.6570 0.1279 0.1663 O
0.7096 0.3182 0.9493 O
0.7656 0.4715 0.1622 O
0.9551 0.8787 0.6557 O
0.8588 0.6747 0.3971 O
0.8072 0.6750 0.9041 O
0.9340 0.8700 0.1634 O
0.7250 0.4656 0.6661 O
0.6105 0.3212 0.4529 O
0.4914 0.1360 0.6776 O
```

theoretical density: 3.4 Mg/m³
corrected total energy (MP2020 scheme): -275.66 eV/cell
spin magnetization: 14.00 Bohr magnetons per cell

=====

VASP calculation (PBE with a Hubbard U) on a relaxed VSi2O6 crystal.

Cell and atoms, written as POSCAR:
```
VSi2O6
1.0
-4.5058 -4.3893 1.6350
-4.5397 4.4020 -3.7239
4.5001 -4.4121 -7.0105
V Si O
4 8 24
Direct
0.8986 0.9251 0.3227 V
0.1016 0.5722 0.1729 V
0.8983 0.4250 0.8225 V
0.1018 0.0724 0.6731 V
0.7852 0.6816 0.5656 Si
0.7851 0.1815 0.0655 Si
0.2151 0.8155 0.9298 Si
0.2153 0.3155 0.4299 Si
0.3834 0.4807 0.7644 Si
0.3835 0.9806 0.2643 Si
0.6168 0.0164 0.7310 Si
0.6168 0.5164 0.2310 Si
0.3652 0.6946 0.8415 O
0.3651 0.1945 0.3415 O
0.6349 0.8025 0.6537 O
0.6350 0.3025 0.1537 O
0.3526 0.4499 0.5855 O
0.3525 0.9497 0.0855 O
0.6480 0.0470 0.9099 O
0.6482 0.5471 0.4099 O
0.8948 0.5489 0.6687 O
0.8947 0.0490 0.1689 O
0.1056 0.9484 0.8268 O
0.1057 0.4483 0.3267 O
0.6209 0.4400 0.8337 O
0.6211 0.9400 0.3338 O
0.3794 0.0574 0.6620 O
0.3792 0.5573 0.1619 O
0.1843 0.8397 0.2930 O
0.1843 0.3398 0.7932 O
0.8159 0.6574 0.2024 O
0.8158 0.1574 0.7022 O
0.9541 0.3387 0.0228 O
0.9542 0.8387 0.5228 O
0.0462 0.1585 0.4727 O
0.0461 0.6585 0.9727 O
```

theoretical density: 3.2 Mg/m³
distance to the lowest polymorph of the same formula: 2 meV/atom
corrected total energy (MP2020 scheme): -304.18 eV/cell
spin magnetization: 4.00 Bohr magnetons per cell

=====

VASP calculation (PBE with a Hubbard U) on a relaxed V2Si2O7 crystal.

Cell and atoms, written as POSCAR:
```
V2Si2O7
1.0
0.0000 4.6212 4.6212
4.6212 0.0000 4.6212
4.6212 4.6212 0.0000
V Si O
4 4 14
Direct
0.0000 0.0000 0.0000 V
0.5000 0.0000 0.0000 V
0.0000 0.5000 0.0000 V
0.0000 0.0000 0.5000 V
0.5000 0.5000 0.0000 Si
0.5000 0.0000 0.5000 Si
0.0000 0.5000 0.5000 Si
0.5000 0.5000 0.5000 Si
0.1250 0.1250 0.1250 O
0.5770 0.1730 0.1730 O
0.5770 0.1730 0.5770 O
0.1730 0.5770 0.1730 O
0.5770 0.5770 0.1730 O
0.1730 0.1730 0.5770 O
0.8270 0.4230 0.4230 O
0.1730 0.5770 0.5770 O
0.8270 0.8270 0.4230 O
0.4230 0.8270 0.4230 O
0.4230 0.4230 0.8270 O
0.8270 0.4230 0.8270 O
0.4230 0.8270 0.8270 O
0.8750 0.8750 0.8750 O
```

theoretical density: 4.5 Mg/m³
distance to the lowest polymorph of the same formula: 43 meV/atom
corrected total energy (MP2020 scheme): -190.04 eV/cell
spin magnetization: 8.00 Bohr magnetons per cell

=====

VASP calculation (PBE with a Hubbard U) on a relaxed VSiO3 crystal.

Cell and atoms, written as POSCAR:
```
VSiO3
1.0
-0.9792 0.0000 4.9589
4.8535 4.5685 0.0511
-4.8535 4.5685 -0.0511
V Si O
4 4 12
Direct
0.2500 0.9057 0.9057 V
0.2500 0.2765 0.2765 V
0.7500 0.0942 0.0943 V
0.7500 0.7235 0.7235 V
0.7106 0.2084 0.6126 Si
0.2106 0.3874 0.7916 Si
0.7894 0.6126 0.2084 Si
0.2894 0.7916 0.3874 Si
0.6499 0.0329 0.7802 O
0.1499 0.2198 0.9671 O
0.8501 0.7802 0.0329 O
0.3501 0.9671 0.2198 O
0.9155 0.4056 0.7041 O
0.4155 0.2959 0.5944 O
0.5845 0.7041 0.4056 O
0.0845 0.5944 0.2959 O
0.8542 0.1443 0.3939 O
0.3542 0.6061 0.8557 O
0.6458 0.3939 0.1443 O
0.1458 0.8557 0.6061 O
```

theoretical density: 3.8 Mg/m³
corrected total energy (MP2020 scheme): -173.59 eV/cell

=====

VASP calculation (PBE with a Hubbard U) on a relaxed V2Si2O7 crystal.

Cell and atoms, written as POSCAR:
```
V2Si2O7
1.0
-1.6523 -0.1594 -4.9400
-1.1278 -5.1599 -1.0464
-4.1992 -0.0357 2.0802
V Si O
2 2 7
Direct
0.6789 0.6906 0.0084 V
0.3211 0.3094 0.9916 V
0.2288 0.7706 0.4052 Si
0.7712 0.2294 0.5948 Si
0.0709 0.6030 0.2121 O
0.4053 0.9145 0.2106 O
0.4026 0.6072 0.7254 O
0.0000 0.0000 0.5000 O
0.5974 0.3928 0.2746 O
0.5947 0.0855 0.7894 O
0.9291 0.3970 0.7879 O
```

theoretical density: 3.6 Mg/m³
distance to the lowest polymorph of the same formula: 0 meV/atom
corrected total energy (MP2020 scheme): -95.49 eV/cell
spin magnetization: 4.00 Bohr magnetons per cell

=====

VASP calculation (PBE with a Hubbard U) on a relaxed V2Si2O7 crystal.

Cell and atoms, written as POSCAR:
```
V2Si2O7
1.0
-0.9385 0.0000 4.6007
0.0004 8.4329 0.0002
-6.3502 -0.0003 0.0284
V Si O
4 4 14
Direct
0.0000 0.1873 0.5000 V
0.0000 0.3127 0.0000 V
0.9999 0.6837 0.0000 V
0.0000 0.8163 0.5000 V
0.4051 0.5016 0.2707 Si
0.4052 0.9984 0.7706 Si
0.5948 0.5016 0.7294 Si
0.5949 0.9984 0.2293 Si
0.5000 0.9999 0.0000 O
0.5000 0.5001 0.5000 O
0.7254 0.4988 0.1030 O
0.7254 0.0012 0.6029 O
0.2746 0.4988 0.8971 O
0.2746 0.0012 0.3970 O
0.2061 0.3413 0.2619 O
0.2151 0.8351 0.7584 O
0.2151 0.6649 0.2585 O
0.2061 0.1587 0.7620 O
0.7939 0.3413 0.7381 O
0.7849 0.8351 0.2415 O
0.7849 0.6649 0.7416 O
0.7939 0.1587 0.2380 O
```

theoretical density: 3.6 Mg/m³
distance to the lowest polymorph of the same formula: 5 meV/atom
corrected total energy (MP2020 scheme): -190.87 eV/cell
spin magnetization: 8.00 Bohr magnetons per cell

=====

VASP calculation (PBE with a Hubbard U) on a relaxed Y2V3Si3O12 crystal.

Cell and atoms, written as POSCAR:
```
Y2V3Si3O12
1.0
-0.1903 9.0032 5.9419
-9.3655 -1.0398 -5.2543
1.4766 -8.5289 6.4404
Y V Si O
8 12 12 48
Direct
0.0000 0.0000 0.5000 Y
0.0000 0.0000 0.0000 Y
0.5000 0.0000 0.0000 Y
0.0000 0.5000 0.0000 Y
0.5000 0.5000 0.0000 Y
0.0000 0.5000 0.5000 Y
0.5000 0.0000 0.5000 Y
0.5000 0.5000 0.5000 Y
0.8750 0.6250 0.2500 V
0.6250 0.2500 0.8750 V
0.8750 0.7500 0.6250 V
0.7500 0.6250 0.8750 V
0.2500 0.8750 0.6250 V
0.6250 0.8750 0.7500 V
0.1250 0.3750 0.7500 V
0.3750 0.7500 0.1250 V
0.1250 0.2500 0.3750 V
0.2500 0.3750 0.1250 V
0.7500 0.1250 0.3750 V
0.3750 0.1250 0.2500 V
0.1250 0.8750 0.2500 Si
0.2500 0.1250 0.8750 Si
0.7500 0.3750 0.6250 Si
0.6250 0.3750 0.2500 Si
0.6250 0.7500 0.3750 Si
0.3750 0.6250 0.7500 Si
0.1250 0.7500 0.8750 Si
0.7500 0.8750 0.1250 Si
0.8750 0.2500 0.1250 Si
0.3750 0.2500 0.6250 Si
0.2500 0.6250 0.3750 Si
0.8750 0.1250 0.7500 Si
0.4814 0.3715 0.2770 O
0.2956 0.8901 0.0186 O
0.6099 0.9055 0.1285 O
0.5945 0.2044 0.2230 O
0.1285 0.0186 0.2230 O
0.2044 0.2230 0.5945 O
0.2044 0.4814 0.6099 O
0.2230 0.5945 0.2044 O
0.3715 0.5945 0.8901 O
0.9055 0.2770 0.2956 O
0.2770 0.2956 0.9055 O
0.2230 0.1285 0.0186 O
0.4814 0.6099 0.2044 O
0.8901 0.3715 0.5945 O
0.0186 0.2230 0.1285 O
0.6099 0.2044 0.4814 O
0.5945 0.8901 0.3715 O
0.0186 0.2956 0.8901 O
0.9055 0.1285 0.6099 O
0.6285 0.4055 0.1099 O
0.3715 0.2770 0.4814 O
0.2770 0.4814 0.3715 O
0.8901 0.0186 0.2956 O
0.2956 0.9055 0.2770 O
0.5186 0.6285 0.7230 O
0.7044 0.1099 0.9814 O
0.3901 0.0945 0.8715 O
0.4055 0.7956 0.7770 O
0.8715 0.9814 0.7770 O
0.7956 0.7770 0.4055 O
0.7956 0.5186 0.3901 O
0.7770 0.4055 0.7956 O
0.7044 0.0945 0.7230 O
0.1099 0.9814 0.7044 O
0.7230 0.5186 0.6285 O
0.6285 0.7230 0.5186 O
0.8715 0.3901 0.0945 O
0.0945 0.8715 0.3901 O
0.9814 0.7044 0.1099 O
0.4055 0.1099 0.6285 O
0.3901 0.7956 0.5186 O
0.9814 0.7770 0.8715 O
0.1099 0.6285 0.4055 O
0.5186 0.3901 0.7956 O
0.7770 0.8715 0.9814 O
0.7230 0.7044 0.0945 O
0.0945 0.7230 0.7044 O
0.1285 0.6099 0.9055 O
```

theoretical density: 4.2 Mg/m³
corrected total energy (MP2020 scheme): -700.50 eV/cell
spin magnetization: 36.00 Bohr magnetons per cell

=====

VASP calculation (PBE with a Hubbard U) on a relaxed VZnSi2O6 crystal.

Cell and atoms, written as POSCAR:
```
VZnSi2O6
1.0
-4.6791 -1.9994 1.3729
-1.6870 -1.9916 -8.6497
7.9240 -16.9289 2.3525
V Zn Si O
8 8 16 48
Direct
0.3503 0.9776 0.8776 V
0.6497 0.0224 0.1224 V
0.8503 0.0224 0.6224 V
0.1497 0.9776 0.3776 V
0.3503 0.4776 0.6224 V
0.6497 0.5224 0.3776 V
0.8503 0.5224 0.8776 V
0.1497 0.4776 0.1224 V
0.6334 0.1484 0.3768 Zn
0.3666 0.8516 0.6232 Zn
0.6334 0.6484 0.1232 Zn
0.1334 0.8516 0.1232 Zn
0.8666 0.1484 0.8768 Zn
0.3666 0.3516 0.8768 Zn
0.1334 0.3516 0.3768 Zn
0.8666 0.6484 0.6232 Zn
0.5484 0.6588 0.7677 Si
0.6993 0.8367 0.4751 Si
0.8007 0.8367 0.9751 Si
0.9516 0.1588 0.2323 Si
0.0484 0.3412 0.7323 Si
0.4516 0.8412 0.2677 Si
0.1993 0.6633 0.4751 Si
0.6993 0.3367 0.0249 Si
0.8007 0.3367 0.5249 Si
0.9516 0.6588 0.2677 Si
0.4516 0.3412 0.2323 Si
0.5484 0.1588 0.7323 Si
0.3007 0.1633 0.5249 Si
0.0484 0.8412 0.7677 Si
0.3007 0.6633 0.9751 Si
0.1993 0.1633 0.0249 Si
0.9635 0.5019 0.3081 O
0.3002 0.0177 0.0646 O
0.0365 0.4981 0.6919 O
0.7016 0.3391 0.9381 O
0.2016 0.1609 0.9381 O
0.8976 0.1990 0.0515 O
0.9667 0.6567 0.1812 O
0.0333 0.8433 0.6812 O
0.7016 0.8391 0.5619 O
0.9667 0.1567 0.3188 O
0.4635 0.4981 0.1919 O
0.7984 0.3391 0.4381 O
0.6998 0.9823 0.9354 O
0.4667 0.8433 0.1812 O
0.5365 0.0019 0.6919 O
0.3002 0.5177 0.4354 O
0.4635 0.9981 0.3081 O
0.1711 0.7765 0.2974 O
0.3289 0.7765 0.7974 O
0.6024 0.6990 0.9485 O
0.7984 0.8391 0.0619 O
0.5333 0.6567 0.6812 O
0.8002 0.4823 0.0646 O
0.1711 0.2765 0.2026 O
0.2984 0.1609 0.4381 O
0.5333 0.1567 0.8188 O
0.6998 0.4823 0.5646 O
0.2016 0.6609 0.5619 O
0.1998 0.5177 0.9354 O
0.6711 0.7235 0.2974 O
0.0365 0.9981 0.8081 O
0.8289 0.7235 0.7974 O
0.8289 0.2235 0.7026 O
0.8002 0.9823 0.4354 O
0.2984 0.6609 0.0619 O
0.1998 0.0177 0.5646 O
0.3289 0.2765 0.7026 O
0.1024 0.8010 0.9485 O
0.3976 0.8010 0.4485 O
0.6711 0.2235 0.2026 O
0.3976 0.3010 0.0515 O
0.6024 0.1990 0.5515 O
0.1024 0.3010 0.5515 O
0.4667 0.3433 0.3188 O
0.5365 0.5019 0.8081 O
0.8976 0.6990 0.4485 O
0.0333 0.3433 0.8188 O
0.9635 0.0019 0.1919 O
```

theoretical density: 4.0 Mg/m³
distance to the lowest polymorph of the same formula: 37 meV/atom
corrected total energy (MP2020 scheme): -623.06 eV/cell
spin magnetization: 24.00 Bohr magnetons per cell

=====

VASP calculation (PBE with a Hubbard U) on a relaxed VZnSiO5 crystal.

Cell and atoms, written as POSCAR:
```
VZnSiO5
1.0
4.1872 -1.0034 2.9284
-2.3016 -2.6579 4.2990
1.4417 -11.4093 -5.8007
V Zn Si O
4 4 4 20
Direct
0.2500 0.2518 0.7496 V
0.9997 0.5016 0.4999 V
0.7500 0.7518 0.2496 V
0.4997 0.0015 0.9998 V
0.3634 0.5225 0.1396 Zn
0.8634 0.0224 0.6396 Zn
0.1365 0.9807 0.3596 Zn
0.6365 0.4805 0.8596 Zn
0.9368 0.2312 0.1216 Si
0.4368 0.7312 0.6217 Si
0.5630 0.2728 0.3775 Si
0.0629 0.7728 0.8775 Si
0.6451 0.2824 0.0659 O
0.1451 0.7824 0.5659 O
0.8547 0.2216 0.4332 O
0.3547 0.7215 0.9332 O
0.9541 0.0164 0.2126 O
0.4540 0.5164 0.7126 O
0.5456 0.4879 0.2866 O
0.0456 0.9879 0.7866 O
0.4956 0.0162 0.3309 O
0.9956 0.5162 0.8308 O
0.0036 0.4885 0.1680 O
0.5036 0.9884 0.6680 O
0.3319 0.3475 0.4645 O
0.8319 0.8473 0.9645 O
0.1671 0.1571 0.0344 O
0.6673 0.6571 0.5345 O
0.9653 0.6886 0.3647 O
0.4656 0.1880 0.8646 O
0.5329 0.8159 0.1347 O
0.0326 0.3161 0.6347 O
```

theoretical density: 4.1 Mg/m³
corrected total energy (MP2020 scheme): -244.08 eV/cell
spin magnetization: 0.00 Bohr magnetons per cell